# Ho5Ni19P12 PBE relaxed
data_Ho5Ni19P12
_chemical_formula_sum 'Ho5 Ni19 P12'
_cell_length_a 12.0511
_cell_length_b 12.0511
_cell_length_c 3.7299
_cell_angle_alpha 90.00
_cell_angle_beta 90.00
_cell_angle_gamma 120.00
_symmetry_space_group_name_H-M 'P -6 2 m'
_symmetry_Int_Tables_number 189
_symmetry_space_group_name_Hall 'P -6 -2'
loop_
_atom_site_label
_atom_site_type_symbol
_atom_site_fract_x
_atom_site_fract_y
_atom_site_fract_z
Ho1 Ho 0.0000 0.8122 0.0000
Ho2 Ho 0.3333 0.6667 0.5000
Ni1 Ni 0.0000 0.0000 0.5000
Ni2 Ni 0.0000 0.2846 0.0000
Ni3 Ni 0.0000 0.4470 0.5000
Ni4 Ni 0.1252 0.6398 0.0000
Ni5 Ni 0.1826 0.3800 0.5000
P1 P 0.0000 0.1782 0.5000
P2 P 0.0000 0.6326 0.5000
P3 P 0.1667 0.4794 0.0000
# Crystal system: hexagonal
# Calculated total energy, eV/cell: -229.21
# Theoretical density, g/cm³: 8.18
# M_tot, μB per formula unit: 0.00
# Formation enthalpy at 0 K, meV/atom: -875
# V, Å³/f.u.: 469